1.
## MgV6O5F19 (PBE with a Hubbard U)

Data for crystalline MgV6O5F19 at its relaxed geometry.

```
31
Lattice="5.4501 0.0676 0.0038 0.0667 5.3661 0.0192 -2.6539 0.0178 15.3546" Properties=species:S:1:pos:R:3 pbc="T T T"
F 1.5450 4.1878 10.4502
F 2.9664 5.1372 3.4152
F 0.1626 5.0863 8.3100
F -2.2668 5.3731 13.7205
F 1.1321 1.1842 4.7260
F 0.0886 3.1686 3.4519
F -1.1369 3.9567 10.4048
F -0.0193 0.2999 1.9437
F -0.1484 2.8477 13.6913
F 2.8366 2.5872 2.0042
F 1.2863 1.4590 0.0392
F 2.6578 0.5267 6.8164
F 1.6205 3.8920 5.3948
F 4.3091 4.2284 5.5171
F 0.1402 2.3347 6.8070
F 4.3695 3.9696 0.1870
F 2.8117 2.4823 11.9232
F 2.7651 3.1877 8.3684
F -0.0685 0.4500 11.9001
V 3.0074 2.4846 0.2215
V -0.1963 2.5406 5.0850
V 0.2598 5.2087 0.2823
V 0.0689 5.3550 10.0334
V 2.6809 2.4608 9.9755
V 2.7197 5.3624 5.1513
Mg -1.2996 1.5044 12.9237
O 1.5249 4.1834 0.3968
O 1.2903 1.5148 9.8820
O 3.9571 1.6296 4.8666
O -1.4949 1.2635 9.8653
O 1.4153 1.2533 15.2322
```

Properties
The total magnetization comes out at 2.999 μB per formula unit. As for the symmetry: P1 (1).

---

2.
## MgV6O5F19 (PBE with a Hubbard U)

Data for crystalline MgV6O5F19 at its relaxed geometry.

```
31
Lattice="5.4199 -0.0667 -0.0533 -0.0657 5.3558 0.0024 -2.8114 0.0370 15.3346" Properties=species:S:1:pos:R:3 pbc="T T T"
V 2.5276 2.5107 0.0991
V -0.0982 0.3175 10.0022
V 2.7024 2.6314 10.0137
V -0.3602 2.5944 5.0783
V 0.0130 0.0271 0.1638
V 2.3514 0.1327 5.0488
O -1.5903 1.1724 9.9841
O 1.0490 1.0994 4.7518
O 1.0837 1.5045 9.8113
O 3.7607 1.5544 4.7024
O -1.6134 1.4856 15.1208
F 1.0906 1.1426 15.0884
F 2.7505 2.3481 1.8719
F 1.4850 4.2070 10.4456
F 2.7591 4.9145 3.4491
F -1.2067 3.8084 10.4777
F 2.7556 0.4608 6.7469
F -0.0059 2.2095 6.7748
F 2.3939 2.4818 11.8821
F 2.4831 4.9396 13.5632
F 2.6759 3.1041 8.3356
F 0.0831 0.1726 11.8861
F 4.2474 4.0834 5.4438
F 1.4441 4.1701 0.3407
F 0.1427 3.1103 3.4639
F -0.1237 4.9233 8.4143
F 1.5067 3.9026 5.5036
F 4.1586 3.7861 0.2310
F -0.0532 3.0804 13.5358
F -0.0946 0.3084 1.8837
Mg 1.1972 4.0104 12.4605
```

Properties
The total magnetization comes out at 3.001 μB per formula unit. As for the symmetry: P1 (1).

---

Going by the computed energies, the most stable comes first: 2, 1.

---

1.
## MgV6O5F19 (PBE with a Hubbard U)

Data for crystalline MgV6O5F19 at its relaxed geometry.

```
31
Lattice="5.3958 0.0367 0.0062 0.0341 5.3433 -0.0214 -2.6357 -0.0860 15.3450" Properties=species:S:1:pos:R:3 pbc="T T T"
F -0.0193 0.1867 12.0784
F 1.5724 4.1446 0.3775
F 2.5160 0.1313 6.8143
F 0.2153 4.8850 8.4938
F 2.9437 4.8948 13.6320
F 2.6835 2.9502 8.4881
F -1.1189 3.7554 10.4492
F 4.2931 3.8088 0.3407
F 1.6075 4.1292 10.5482
F 2.7682 2.2562 1.6845
F 1.5502 3.8131 5.3468
F -0.0354 0.4703 1.7020
F 4.2185 4.1463 5.3646
F 2.7329 2.2633 12.1280
F 1.1511 1.0219 14.9700
F 0.0927 3.0946 3.2548
F 2.8438 4.8875 3.2946
F 0.1959 2.4499 6.8067
F 0.2004 3.0492 13.6822
V -0.0498 2.6106 4.9255
V 2.6601 0.2611 4.9166
V 5.3572 5.2949 0.0049
V 0.0393 0.2544 10.3160
V 2.7917 2.6180 10.4098
V -0.1461 2.4226 15.2959
Mg 1.4517 3.9142 7.4041
O 3.8699 1.4760 4.8829
O -1.4089 1.1115 10.0223
O -1.4601 1.4739 15.0240
O 1.2131 1.1254 4.7168
O 1.2260 1.4395 10.1092
```

Properties
The total magnetization comes out at 2.989 μB per formula unit. As for the symmetry: P1 (1).

---

2.
## MgV6O5F19 (PBE with a Hubbard U)

Data for crystalline MgV6O5F19 at its relaxed geometry.

```
31
Lattice="-5.3545 0.9162 -0.0195 -0.1476 -0.2003 5.3519 5.4605 14.5399 0.6860" Properties=species:S:1:pos:R:3 pbc="T T T"
F 1.3773 8.0035 5.3192
F 0.2239 10.3538 4.7313
F -0.7006 12.0446 3.0518
F 0.4685 1.7807 0.5850
F 2.3919 11.6289 0.7296
F 2.9216 9.9210 4.3026
F 1.1219 6.5720 2.5574
F -0.4006 13.5568 5.5727
F -1.2195 8.5828 3.5076
F -0.6344 5.4698 4.0728
F -2.4182 2.1829 2.3236
F 4.1047 14.5044 2.1504
F 0.4668 3.2671 3.3241
F 2.4816 13.1637 3.6872
F -1.4372 7.0959 0.7864
F -2.2772 3.6070 5.1001
F -0.2586 4.7692 1.3450
F -3.2844 5.9332 4.3508
F -4.1275 0.9042 3.8704
V -1.8069 5.2588 5.4942
V -2.8804 0.4983 2.5001
V -0.3102 0.0592 5.2079
V 1.0880 4.8084 2.7246
V 1.7588 9.8517 0.4910
V -0.8793 10.1675 2.8236
O 0.6078 9.9089 1.9965
O 3.3048 9.3284 1.6350
O 1.4925 14.8906 1.9733
O -1.5099 0.4399 4.1084
O -3.0224 5.2670 1.7348
Mg 3.5556 11.8394 4.5916
```

Properties
The total magnetization comes out at 2.993 μB per formula unit. As for the symmetry: P1 (1).

---

Going by the computed energies, the most stable comes first: 1, 2.